## i
# Fe5O8, optimized geometry, DFT PBE+U
# Space group: R-3m
data_Fe5O8
_cell_length_a 5.921
_cell_length_b 5.921
_cell_length_c 5.921
_cell_angle_alpha 61.24
_cell_angle_beta 61.24
_cell_angle_gamma 61.24
_space_group_name_H-M_alt 'P 1'
_space_group_IT_number 1
loop_
_space_group_symop_operation_xyz
'x,y,z'
loop_
_atom_site_label
_atom_site_fract_x
_atom_site_fract_y
_atom_site_fract_z
_atom_site_occupancy
Fe1 0.000 0.500 0.500 1
Fe2 0.118 0.118 0.118 1
Fe3 0.500 0.000 0.500 1
Fe4 0.500 0.500 0.000 1
Fe5 0.882 0.882 0.882 1
O1 0.246 0.246 0.731 1
O2 0.246 0.731 0.246 1
O3 0.255 0.255 0.255 1
O4 0.269 0.754 0.754 1
O5 0.731 0.246 0.246 1
O6 0.745 0.745 0.745 1
O7 0.754 0.269 0.754 1
O8 0.754 0.754 0.269 1

***

## ii
# Fe5O8, optimized geometry, DFT PBE+U
# Space group: P4_332
data_Fe5O8
_cell_length_a 8.420
_cell_length_b 8.420
_cell_length_c 8.420
_cell_angle_alpha 90.00
_cell_angle_beta 90.00
_cell_angle_gamma 90.00
_space_group_name_H-M_alt 'P 1'
_space_group_IT_number 1
loop_
_space_group_symop_operation_xyz
'x,y,z'
loop_
_atom_site_label
_atom_site_fract_x
_atom_site_fract_y
_atom_site_fract_z
_atom_site_occupancy
Fe1 0.003 0.497 0.503 1
Fe2 0.115 0.625 0.135 1
Fe3 0.125 0.365 0.885 1
Fe4 0.135 0.115 0.625 1
Fe5 0.247 0.747 0.753 1
Fe6 0.253 0.253 0.253 1
Fe7 0.365 0.885 0.125 1
Fe8 0.375 0.635 0.385 1
Fe9 0.385 0.375 0.635 1
Fe10 0.497 0.503 0.003 1
Fe11 0.503 0.003 0.497 1
Fe12 0.615 0.875 0.865 1
Fe13 0.625 0.135 0.115 1
Fe14 0.635 0.385 0.375 1
Fe15 0.747 0.753 0.247 1
Fe16 0.753 0.247 0.747 1
Fe17 0.865 0.615 0.875 1
Fe18 0.875 0.865 0.615 1
Fe19 0.885 0.125 0.365 1
Fe20 0.997 0.997 0.997 1
O1 0.106 0.132 0.868 1
O2 0.108 0.608 0.892 1
O3 0.118 0.144 0.382 1
O4 0.118 0.882 0.644 1
O5 0.132 0.606 0.368 1
O6 0.132 0.868 0.106 1
O7 0.142 0.358 0.642 1
O8 0.144 0.382 0.118 1
O9 0.356 0.618 0.618 1
O10 0.358 0.642 0.142 1
O11 0.368 0.132 0.606 1
O12 0.368 0.394 0.868 1
O13 0.382 0.118 0.144 1
O14 0.382 0.856 0.882 1
O15 0.392 0.392 0.392 1
O16 0.394 0.868 0.368 1
O17 0.606 0.368 0.132 1
O18 0.608 0.892 0.108 1
O19 0.618 0.356 0.618 1
O20 0.618 0.618 0.356 1
O21 0.632 0.632 0.894 1
O22 0.632 0.894 0.632 1
O23 0.642 0.142 0.358 1
O24 0.644 0.118 0.882 1
O25 0.856 0.882 0.382 1
O26 0.858 0.858 0.858 1
O27 0.868 0.106 0.132 1
O28 0.868 0.368 0.394 1
O29 0.882 0.382 0.856 1
O30 0.882 0.644 0.118 1
O31 0.892 0.108 0.608 1
O32 0.894 0.632 0.632 1

***

Relative to the most stable structure, the computed energies are i 22; ii 0, all in meV/atom.

***

## i
# Fe7O8, optimized geometry, DFT PBE+U
# Space group: P-1
data_Fe7O8
_cell_length_a 6.087
_cell_length_b 6.163
_cell_length_c 10.732
_cell_angle_alpha 73.79
_cell_angle_beta 73.64
_cell_angle_gamma 60.66
_space_group_name_H-M_alt 'P 1'
_space_group_IT_number 1
loop_
_space_group_symop_operation_xyz
'x,y,z'
loop_
_atom_site_label
_atom_site_fract_x
_atom_site_fract_y
_atom_site_fract_z
_atom_site_occupancy
Fe1 0.000 0.000 0.000 1
Fe2 0.000 0.000 0.500 1
Fe3 0.000 0.500 0.000 1
Fe4 0.000 0.500 0.500 1
Fe5 0.240 0.256 0.252 1
Fe6 0.251 0.758 0.750 1
Fe7 0.258 0.749 0.248 1
Fe8 0.500 0.000 0.000 1
Fe9 0.500 0.000 0.500 1
Fe10 0.500 0.500 0.000 1
Fe11 0.500 0.500 0.500 1
Fe12 0.742 0.251 0.752 1
Fe13 0.749 0.242 0.250 1
Fe14 0.760 0.744 0.748 1
O1 0.117 0.146 0.119 1
O2 0.124 0.659 0.620 1
O3 0.129 0.127 0.608 1
O4 0.146 0.620 0.116 1
O5 0.354 0.886 0.384 1
O6 0.365 0.379 0.891 1
O7 0.379 0.355 0.382 1
O8 0.385 0.844 0.881 1
O9 0.615 0.156 0.119 1
O10 0.621 0.645 0.618 1
O11 0.635 0.621 0.109 1
O12 0.646 0.114 0.616 1
O13 0.854 0.380 0.884 1
O14 0.871 0.873 0.392 1
O15 0.876 0.341 0.380 1
O16 0.883 0.854 0.881 1

***

## ii
# Fe7O8, optimized geometry, DFT PBE+U
# Space group: Fm-3m
data_Fe7O8
_cell_length_a 6.134
_cell_length_b 6.134
_cell_length_c 6.134
_cell_angle_alpha 60.00
_cell_angle_beta 60.00
_cell_angle_gamma 60.00
_space_group_name_H-M_alt 'P 1'
_space_group_IT_number 1
loop_
_space_group_symop_operation_xyz
'x,y,z'
loop_
_atom_site_label
_atom_site_fract_x
_atom_site_fract_y
_atom_site_fract_z
_atom_site_occupancy
Fe1 0.000 0.000 0.000 1
Fe2 0.000 0.000 0.500 1
Fe3 0.000 0.500 0.000 1
Fe4 0.000 0.500 0.500 1
Fe5 0.500 0.000 0.000 1
Fe6 0.500 0.000 0.500 1
Fe7 0.500 0.500 0.000 1
O1 0.236 0.236 0.764 1
O2 0.236 0.764 0.236 1
O3 0.236 0.764 0.764 1
O4 0.250 0.250 0.250 1
O5 0.750 0.750 0.750 1
O6 0.764 0.236 0.236 1
O7 0.764 0.236 0.764 1
O8 0.764 0.764 0.236 1

***

Relative to the most stable structure, the computed energies are i 0; ii 35, all in meV/atom.

***

## i
# Fe23O32, optimized geometry, DFT PBE+U
# Space group: R-3m
data_Fe23O32
_cell_length_a 8.323
_cell_length_b 8.323
_cell_length_c 8.323
_cell_angle_alpha 89.67
_cell_angle_beta 89.67
_cell_angle_gamma 89.67
_space_group_name_H-M_alt 'P 1'
_space_group_IT_number 1
loop_
_space_group_symop_operation_xyz
'x,y,z'
loop_
_atom_site_label
_atom_site_fract_x
_atom_site_fract_y
_atom_site_fract_z
_atom_site_occupancy
Fe1 0.000 0.000 0.500 1
Fe2 0.000 0.253 0.747 1
Fe3 0.000 0.500 0.000 1
Fe4 0.000 0.747 0.253 1
Fe5 0.124 0.620 0.620 1
Fe6 0.129 0.129 0.129 1
Fe7 0.253 0.000 0.747 1
Fe8 0.253 0.253 0.498 1
Fe9 0.253 0.498 0.253 1
Fe10 0.253 0.747 0.000 1
Fe11 0.380 0.380 0.876 1
Fe12 0.380 0.876 0.380 1
Fe13 0.498 0.253 0.253 1
Fe14 0.500 0.000 0.000 1
Fe15 0.502 0.747 0.747 1
Fe16 0.620 0.124 0.620 1
Fe17 0.620 0.620 0.124 1
Fe18 0.747 0.000 0.253 1
Fe19 0.747 0.253 0.000 1
Fe20 0.747 0.502 0.747 1
Fe21 0.747 0.747 0.502 1
Fe22 0.871 0.871 0.871 1
Fe23 0.876 0.380 0.380 1
O1 0.003 0.003 0.733 1
O2 0.003 0.733 0.003 1
O3 0.015 0.233 0.499 1
O4 0.015 0.499 0.233 1
O5 0.233 0.015 0.499 1
O6 0.233 0.499 0.015 1
O7 0.237 0.480 0.480 1
O8 0.251 0.251 0.729 1
O9 0.251 0.729 0.251 1
O10 0.263 0.263 0.263 1
O11 0.267 0.997 0.997 1
O12 0.271 0.749 0.749 1
O13 0.480 0.237 0.480 1
O14 0.480 0.480 0.237 1
O15 0.499 0.015 0.233 1
O16 0.499 0.233 0.015 1
O17 0.501 0.767 0.985 1
O18 0.501 0.985 0.767 1
O19 0.520 0.520 0.763 1
O20 0.520 0.763 0.520 1
O21 0.729 0.251 0.251 1
O22 0.733 0.003 0.003 1
O23 0.737 0.737 0.737 1
O24 0.749 0.271 0.749 1
O25 0.749 0.749 0.271 1
O26 0.763 0.520 0.520 1
O27 0.767 0.501 0.985 1
O28 0.767 0.985 0.501 1
O29 0.985 0.501 0.767 1
O30 0.985 0.767 0.501 1
O31 0.997 0.267 0.997 1
O32 0.997 0.997 0.267 1

***

## ii
# Fe23O32, optimized geometry, DFT PBE+U
# Space group: P1
data_Fe23O32
_cell_length_a 8.419
_cell_length_b 8.450
_cell_length_c 8.461
_cell_angle_alpha 90.40
_cell_angle_beta 90.07
_cell_angle_gamma 90.17
_space_group_name_H-M_alt 'P 1'
_space_group_IT_number 1
loop_
_space_group_symop_operation_xyz
'x,y,z'
loop_
_atom_site_label
_atom_site_fract_x
_atom_site_fract_y
_atom_site_fract_z
_atom_site_occupancy
Fe1 0.000 0.000 0.000 1
Fe2 0.000 0.504 0.493 1
Fe3 0.123 0.878 0.618 1
Fe4 0.124 0.126 0.373 1
Fe5 0.125 0.626 0.872 1
Fe6 0.128 0.377 0.123 1
Fe7 0.250 0.755 0.257 1
Fe8 0.254 0.247 0.744 1
Fe9 0.373 0.876 0.873 1
Fe10 0.374 0.627 0.621 1
Fe11 0.375 0.377 0.373 1
Fe12 0.376 0.128 0.124 1
Fe13 0.492 0.004 0.497 1
Fe14 0.501 0.503 0.000 1
Fe15 0.629 0.378 0.620 1
Fe16 0.631 0.129 0.874 1
Fe17 0.631 0.635 0.377 1
Fe18 0.635 0.881 0.131 1
Fe19 0.758 0.256 0.250 1
Fe20 0.759 0.755 0.751 1
Fe21 0.876 0.118 0.615 1
Fe22 0.879 0.378 0.873 1
Fe23 0.879 0.630 0.128 1
O1 0.115 0.619 0.130 1
O2 0.123 0.116 0.609 1
O3 0.128 0.135 0.137 1
O4 0.128 0.642 0.619 1
O5 0.134 0.372 0.886 1
O6 0.136 0.880 0.857 1
O7 0.141 0.364 0.368 1
O8 0.143 0.897 0.391 1
O9 0.363 0.144 0.369 1
O10 0.363 0.872 0.632 1
O11 0.369 0.376 0.138 1
O12 0.373 0.634 0.869 1
O13 0.383 0.381 0.607 1
O14 0.383 0.880 0.113 1
O15 0.385 0.610 0.375 1
O16 0.388 0.120 0.878 1
O17 0.606 0.866 0.364 1
O18 0.610 0.384 0.380 1
O19 0.616 0.889 0.879 1
O20 0.620 0.367 0.863 1
O21 0.625 0.121 0.115 1
O22 0.626 0.621 0.615 1
O23 0.628 0.133 0.631 1
O24 0.639 0.634 0.131 1
O25 0.864 0.376 0.625 1
O26 0.864 0.613 0.353 1
O27 0.866 0.858 0.113 1
O28 0.867 0.131 0.875 1
O29 0.879 0.624 0.892 1
O30 0.887 0.393 0.121 1
O31 0.896 0.881 0.635 1
O32 0.897 0.142 0.374 1

***

Relative to the most stable structure, the computed energies are i 80; ii 0, all in meV/atom.

***

## i
# Fe4O13, optimized geometry, DFT PBE+U
# Space group: C2/m
data_Fe4O13
_cell_length_a 6.350
_cell_length_b 6.350
_cell_length_c 6.348
_cell_angle_alpha 119.16
_cell_angle_beta 119.16
_cell_angle_gamma 74.42
_space_group_name_H-M_alt 'P 1'
_space_group_IT_number 1
loop_
_space_group_symop_operation_xyz
'x,y,z'
loop_
_atom_site_label
_atom_site_fract_x
_atom_site_fract_y
_atom_site_fract_z
_atom_site_occupancy
Fe1 0.000 0.500 0.000 1
Fe2 0.000 0.500 0.500 1
Fe3 0.500 0.000 0.000 1
Fe4 0.500 0.000 0.500 1
O1 0.000 0.000 0.000 1
O2 0.159 0.516 0.835 1
O3 0.196 0.802 0.607 1
O4 0.198 0.804 0.393 1
O5 0.292 0.292 0.181 1
O6 0.293 0.293 0.400 1
O7 0.484 0.841 0.165 1
O8 0.516 0.159 0.835 1
O9 0.707 0.707 0.600 1
O10 0.708 0.708 0.819 1
O11 0.802 0.196 0.607 1
O12 0.804 0.198 0.393 1
O13 0.841 0.484 0.165 1

***

## ii
# Fe4O13, optimized geometry, DFT PBE+U
# Space group: Immm
data_Fe4O13
_cell_length_a 6.390
_cell_length_b 6.390
_cell_length_c 6.390
_cell_angle_alpha 120.44
_cell_angle_beta 106.12
_cell_angle_gamma 102.46
_space_group_name_H-M_alt 'P 1'
_space_group_IT_number 1
loop_
_space_group_symop_operation_xyz
'x,y,z'
loop_
_atom_site_label
_atom_site_fract_x
_atom_site_fract_y
_atom_site_fract_z
_atom_site_occupancy
Fe1 0.000 0.000 0.500 1
Fe2 0.000 0.500 0.000 1
Fe3 0.500 0.000 0.000 1
Fe4 0.500 0.500 0.500 1
O1 0.000 0.000 0.000 1
O2 0.159 0.837 0.322 1
O3 0.197 0.392 0.589 1
O4 0.197 0.608 0.805 1
O5 0.293 0.185 0.892 1
O6 0.293 0.400 0.108 1
O7 0.484 0.163 0.322 1
O8 0.516 0.837 0.678 1
O9 0.707 0.600 0.892 1
O10 0.707 0.815 0.108 1
O11 0.803 0.392 0.195 1
O12 0.803 0.608 0.411 1
O13 0.841 0.163 0.678 1

***

Relative to the most stable structure, the computed energies are i 19; ii 0, all in meV/atom.